First-principles (GGA+U) data for crystalline ZnFeO3 at its relaxed geometry, as listed in the Materials Project.

Cell lengths 5.1564, 5.2054, 7.5888 Å; angles 90.00, 90.00, 90.00 degrees
Atoms (fractional coordinates):
O 0.3189 0.3131 0.4340
Zn 0.0031 0.0447 0.2500
Fe 0.0000 0.5000 0.5000
O 0.6811 0.6869 0.9340
O 0.1203 0.5684 0.7500
O 0.3797 0.0684 0.7500
Zn 0.9969 0.9553 0.7500
O 0.6811 0.6869 0.5660
O 0.1811 0.8131 0.0660
Zn 0.5031 0.4553 0.7500
O 0.8189 0.1869 0.5660
O 0.1811 0.8131 0.4340
O 0.8189 0.1869 0.9340
O 0.8797 0.4316 0.2500
O 0.6203 0.9316 0.2500
Fe 0.0000 0.5000 0.0000
O 0.3189 0.3131 0.0660
Fe 0.5000 0.0000 0.0000
Zn 0.4969 0.5447 0.2500
Fe 0.5000 0.0000 0.5000

Computed properties:
SG: Pnma

---

First-principles (GGA+U) data for crystalline LiV6O11F at its relaxed geometry, as listed in the Materials Project.

Cell lengths 4.6820, 4.6871, 9.0542 Å; angles 90.50, 89.81, 91.94 degrees
Atoms (fractional coordinates):
V 0.5274 0.4764 0.4984
O 0.1832 0.8198 0.8298
V 0.0170 0.9868 0.0102
O 0.8032 0.2037 0.5058
Li 0.5054 0.0127 0.7507
V 0.4739 0.5219 0.8404
V 0.0221 0.9719 0.6430
O 0.6896 0.6962 0.3355
O 0.2026 0.7907 0.5052
O 0.6891 0.7121 0.6651
O 0.7920 0.2079 0.1650
V 0.0000 0.0011 0.3300
O 0.3076 0.3098 0.3355
O 0.2861 0.2979 0.0033
V 0.5197 0.4807 0.1700
O 0.3041 0.3004 0.6667
O 0.6959 0.7131 0.9987
O 0.1946 0.8031 0.1654
F 0.8002 0.2076 0.8313

Computed properties:
SG: P1
Relative energy among the computed polymorphs in eV per atom: 0.0158

---

First-principles (GGA+U) data for crystalline Li4Ti3Fe3Te2O16 at its relaxed geometry, as listed in the Materials Project.

Cell lengths 5.9596, 6.0628, 10.2828 Å; angles 89.92, 89.91, 61.04 degrees
Atoms (fractional coordinates):
Ti 0.1845 0.6445 0.2690
Fe 0.6606 0.1646 0.2839
Fe 0.8301 0.3367 0.7886
O 0.1622 0.1537 0.9045
O 0.3125 0.3576 0.3907
O 0.5111 0.9754 0.6820
Fe 0.1743 0.1723 0.2830
O 0.3371 0.8370 0.3940
O 0.6828 0.1511 0.9056
Li 0.3330 0.3293 0.6028
O 0.4774 0.5016 0.1676
Te 0.6742 0.6595 0.4898
Li 0.0049 0.9975 0.5044
Li 0.0019 0.9952 0.0143
O 0.0241 0.4932 0.1706
O 0.6599 0.6772 0.8906
Ti 0.8350 0.8193 0.7805
O 0.1381 0.7169 0.8902
Li 0.6647 0.6711 0.0953
Ti 0.3409 0.8161 0.7806
O 0.4956 0.5187 0.6861
O 0.8400 0.8285 0.4001
O 0.9952 0.0072 0.6894
O 0.4698 0.0394 0.1414
O 0.0186 0.9822 0.1979
Te 0.3450 0.3065 0.0041
O 0.9776 0.5217 0.6826
O 0.8489 0.3259 0.4024

Computed properties:
SG: P1

---

First-principles (GGA+U) data for crystalline Fe5Co3O16 at its relaxed geometry, as listed in the Materials Project.

Cell lengths 5.6895, 5.6768, 9.0159 Å; angles 90.26, 90.62, 119.86 degrees
Atoms (fractional coordinates):
O 0.3176 0.1587 0.1056
Co 0.3360 0.1677 0.7112
O 0.6645 0.3328 0.6029
O 0.6769 0.8424 0.6040
Fe 0.8340 0.1678 0.7125
O 0.0067 0.0038 0.8196
O 0.8423 0.6764 0.1045
O 0.9641 0.4807 0.8331
O 0.0399 0.5207 0.3259
O 0.5181 0.0395 0.8292
Co 0.1693 0.3359 0.2111
O 0.0079 0.0047 0.3187
Fe 0.3257 0.6608 0.4936
O 0.1612 0.8427 0.6027
Co 0.1688 0.8330 0.2110
O 0.8429 0.1645 0.1048
O 0.1609 0.3199 0.6064
O 0.3297 0.6637 0.1027
O 0.5180 0.4807 0.8310
Fe 0.8344 0.6683 0.7121
Fe 0.6677 0.8331 0.2142
O 0.4768 0.5128 0.3318
Fe 0.6605 0.3262 0.9951
O 0.4762 0.9635 0.3317

Computed properties:
SG: P1

---

First-principles (GGA+U) data for crystalline CrO at its relaxed geometry, as listed in the Materials Project.

Cell lengths 3.1473, 3.1473, 3.1473 Å; angles 60.00, 60.00, 60.00 degrees
Atoms (fractional coordinates):
O 0.5000 0.5000 0.5000
Cr 0.0000 0.0000 0.0000

Computed properties:
SG: Fm-3m

---

First-principles (GGA+U) data for crystalline NaV3H6S2O14 at its relaxed geometry, as listed in the Materials Project.

Cell lengths 7.1482, 7.1357, 12.6643 Å; angles 74.94, 92.41, 62.41 degrees
Atoms (fractional coordinates):
H 0.9533 0.7144 0.6515
O 0.1110 0.1229 0.3702
Na 0.4988 0.0048 0.5000
S 0.4646 0.3092 0.1552
O 0.1984 0.2576 0.9395
V 0.0003 0.4994 0.0004
O 0.5787 0.8291 0.7492
H 0.3646 0.2998 0.6487
O 0.3893 0.8769 0.1299
H 0.6579 0.2985 0.3574
V 0.9999 0.0006 0.4999
S 0.5372 0.6888 0.8450
O 0.8911 0.8776 0.6306
O 0.0773 0.8307 0.2491
O 0.7539 0.5022 0.5862
O 0.8020 0.7417 0.0611
H 0.1355 0.7004 0.8515
H 0.8653 0.2999 0.1502
V 0.7499 0.0001 0.7499
O 0.4926 0.7402 0.3702
Na 0.0000 0.9953 0.9988
S 0.9627 0.3113 0.6550
O 0.4225 0.1693 0.2508
O 0.9141 0.8284 0.4149
O 0.5858 0.1716 0.0850
O 0.0846 0.1734 0.5851
H 0.5471 0.2857 0.8489
O 0.9213 0.1710 0.7508
V 0.5000 0.9992 0.0002
O 0.5070 0.2585 0.6284
H 0.8420 0.7014 0.1426
O 0.7460 0.4978 0.9138
S 0.0353 0.6908 0.3447
V 0.2499 0.9998 0.2499
O 0.9932 0.7418 0.8717
O 0.6094 0.1225 0.8696
O 0.6979 0.2581 0.4389
V 0.4996 0.5003 0.4997
O 0.0913 0.3979 0.6980
O 0.4088 0.6022 0.8019
O 0.5939 0.3948 0.1984
O 0.4153 0.8265 0.9150
O 0.9061 0.6052 0.3015
H 0.4503 0.7140 0.1504
H 0.6348 0.7003 0.3500
H 0.0502 0.2858 0.3498
O 0.0075 0.2598 0.1299
O 0.3016 0.7423 0.5605
H 0.3429 0.7028 0.6417
O 0.2439 0.4991 0.4135
O 0.2560 0.5010 0.0865
H 0.1571 0.2973 0.8583

Computed properties:
SG: P1
Relative energy among the computed polymorphs in eV per atom: 0.0124

---

For reference, mass density by record: 5.519; 4.245; 4.342; 4.682; 5.122; 2.875 Mg/m³.
For reference, total DFT energy (no corrections) by record: -5.4700; -7.4438; -6.8000; -5.9596; -7.5621; -6.2371 eV/atom.